# ErAl9Ni3

Crystalline ErAl9Ni3 at its relaxed geometry (GGA-PBE, the Materials Project).

Cell and atoms, written as POSCAR:
```
ErAl9Ni3
1.0
3.6371 2.0999 9.1231
-3.6371 2.0999 9.1231
0.0000 -4.1998 9.1231
Er Al Ni
2 18 6
direct
0.1669 0.1669 0.1669
0.8331 0.8331 0.8331
0.0000 0.6661 0.3339
0.0519 0.0519 0.0519
0.1027 0.4329 0.7631
0.2369 0.5671 0.8973
0.2820 0.2820 0.2820
0.2908 0.7092 0.5000
0.3339 0.0000 0.6661
0.3869 0.3869 0.3869
0.4329 0.7631 0.1027
0.5000 0.2908 0.7092
0.5671 0.8973 0.2369
0.6131 0.6131 0.6131
0.6661 0.3339 0.0000
0.7092 0.5000 0.2908
0.7180 0.7180 0.7180
0.7631 0.1027 0.4329
0.8973 0.2369 0.5671
0.9481 0.9481 0.9481
0.0785 0.7585 0.4184
0.2415 0.9215 0.5816
0.4184 0.0785 0.7585
0.5816 0.2415 0.9215
0.7585 0.4184 0.0785
0.9215 0.5816 0.2415
```

Computed properties:
The calculation puts the calculated total energy at -4.8032 eV per atom. Its energy of formation is -0.5249 eV per atom. As for the space group: R32 (155).



# Nd25B14C26

Crystalline Nd25B14C26 at its relaxed geometry (GGA-PBE, the Materials Project).

Cell and atoms, written as POSCAR:
```
Nd25B14C26
1.0
8.5043 0.0000 0.0000
0.0000 8.4722 0.0000
-8.4677 0.0000 29.5260
Nd B C
50 28 52
direct
0.0000 0.0000 0.0000
0.0000 0.5000 0.5000
0.0123 0.1916 0.8033
0.0123 0.3084 0.3033
0.0164 0.1109 0.1141
0.0164 0.3891 0.6141
0.1871 0.5021 0.8860
0.1871 0.9979 0.3860
0.1959 0.0985 0.5023
0.1959 0.4015 0.0023
0.2072 0.6955 0.3066
0.2072 0.8045 0.8066
0.2081 0.7089 0.1120
0.2081 0.7911 0.6120
0.2104 0.0922 0.7102
0.2104 0.4078 0.2102
0.3675 0.7073 0.4785
0.3675 0.7927 0.9785
0.3905 0.0890 0.8926
0.3905 0.4110 0.3926
0.4026 0.1189 0.3052
0.4026 0.3811 0.8052
0.4082 0.0030 0.1989
0.4082 0.4970 0.6989
0.4209 0.1986 0.6146
0.4209 0.3014 0.1146
0.5791 0.6986 0.8854
0.5791 0.8014 0.3854
0.5918 0.5030 0.3011
0.5918 0.9970 0.8011
0.5974 0.6189 0.1948
0.5974 0.8811 0.6948
0.6095 0.5890 0.6074
0.6095 0.9110 0.1074
0.6325 0.2073 0.0215
0.6325 0.2927 0.5215
0.7896 0.5922 0.7898
0.7896 0.9078 0.2898
0.7919 0.2089 0.3880
0.7919 0.2911 0.8880
0.7928 0.1955 0.1934
0.7928 0.3045 0.6934
0.8041 0.5985 0.9977
0.8041 0.9015 0.4977
0.8129 0.0021 0.6140
0.8129 0.4979 0.1140
0.9836 0.6109 0.3859
0.9836 0.8891 0.8859
0.9877 0.6916 0.6967
0.9877 0.8084 0.1967
0.0370 0.1163 0.5710
0.0370 0.3837 0.0710
0.0955 0.0599 0.2512
0.0955 0.4401 0.7512
0.1449 0.1618 0.9335
0.1449 0.3382 0.4335
0.2836 0.0209 0.0704
0.2836 0.4791 0.5704
0.3214 0.0824 0.0253
0.3214 0.4176 0.5253
0.3994 0.7481 0.2493
0.3994 0.7519 0.7493
0.4861 0.5751 0.0642
0.4861 0.9249 0.5642
0.5139 0.0751 0.4358
0.5139 0.4249 0.9358
0.6006 0.2481 0.2507
0.6006 0.2519 0.7507
0.6786 0.5824 0.4747
0.6786 0.9176 0.9747
0.7164 0.5209 0.4296
0.7164 0.9791 0.9296
0.8551 0.6618 0.5665
0.8551 0.8382 0.0665
0.9045 0.5599 0.2488
0.9045 0.9401 0.7488
0.9630 0.6163 0.9290
0.9630 0.8837 0.4290
0.0732 0.6785 0.9716
0.0732 0.8215 0.4716
0.0852 0.1934 0.8849
0.0852 0.3066 0.3849
0.0992 0.0063 0.2970
0.0992 0.4937 0.7970
0.1037 0.1067 0.2060
0.1037 0.3933 0.7060
0.1263 0.0857 0.6179
0.1263 0.4143 0.1179
0.2611 0.1096 0.9760
0.2611 0.3904 0.4760
0.2863 0.7083 0.3894
0.2863 0.7917 0.8894
0.3025 0.0960 0.8025
0.3025 0.4040 0.3025
0.3047 0.7066 0.2031
0.3047 0.7934 0.7031
0.3203 0.0052 0.1191
0.3203 0.4948 0.6191
0.4847 0.0117 0.4769
0.4847 0.4883 0.9769
0.4909 0.1073 0.3880
0.4909 0.3927 0.8880
0.4918 0.6958 0.7944
0.4918 0.8042 0.2944
0.5082 0.1958 0.7056
0.5082 0.3042 0.2056
0.5091 0.6073 0.1120
0.5091 0.8927 0.6120
0.5153 0.5117 0.0231
0.5153 0.9883 0.5231
0.6797 0.5052 0.3809
0.6797 0.9948 0.8809
0.6953 0.2066 0.2969
0.6953 0.2934 0.7969
0.6975 0.5960 0.6975
0.6975 0.9040 0.1975
0.7137 0.2083 0.1106
0.7137 0.2917 0.6106
0.7389 0.6096 0.5240
0.7389 0.8904 0.0240
0.8737 0.5857 0.8821
0.8737 0.9143 0.3821
0.8963 0.6067 0.2940
0.8963 0.8933 0.7940
0.9008 0.5063 0.2030
0.9008 0.9937 0.7030
0.9148 0.6934 0.6151
0.9148 0.8066 0.1151
0.9268 0.1785 0.5284
0.9268 0.3215 0.0284
```

Computed properties:
The calculation puts the calculated total energy at -7.2333 eV per atom. Its energy of formation is -0.2693 eV per atom. As for the space group: P2_1/c (14). As for the size of the total moment: 1.05 μB/cell.



# Zn2NiIr

Crystalline Zn2NiIr at its relaxed geometry (GGA-PBE, the Materials Project).

Cell and atoms, written as POSCAR:
```
Zn2NiIr
1.0
0.0000 2.9756 2.9756
2.9756 0.0000 2.9756
2.9756 2.9756 0.0000
Zn Ni Ir
2 1 1
direct
0.2500 0.2500 0.2500
0.7500 0.7500 0.7500
0.0000 0.0000 0.0000
0.5000 0.5000 0.5000
```

Computed properties:
The calculation puts the calculated total energy at -4.5013 eV per atom. Its energy of formation is -0.2168 eV per atom. As for the space group: Fm-3m (225).



# As2Pt

Crystalline As2Pt at its relaxed geometry (GGA-PBE, the Materials Project).

Cell and atoms, written as POSCAR:
```
As2Pt
1.0
6.0641 0.0000 0.0000
0.0000 6.0641 0.0000
0.0000 0.0000 6.0641
As Pt
8 4
direct
0.1167 0.1167 0.1167
0.1167 0.3833 0.6167
0.3833 0.6167 0.1167
0.3833 0.8833 0.6167
0.6167 0.1167 0.3833
0.6167 0.3833 0.8833
0.8833 0.6167 0.3833
0.8833 0.8833 0.8833
0.0000 0.0000 0.5000
0.0000 0.5000 0.0000
0.5000 0.0000 0.0000
0.5000 0.5000 0.5000
```

Computed properties:
The calculation puts the calculated total energy at -5.6474 eV per atom. Its energy of formation is -0.5176 eV per atom. As for the space group: Pa-3 (205).



# Mg7B

Crystalline Mg7B at its relaxed geometry (GGA-PBE, the Materials Project).

Cell and atoms, written as POSCAR:
```
Mg7B
1.0
6.1665 0.0000 0.0000
-3.0833 5.3404 0.0000
0.0000 0.0000 4.8840
Mg B
7 1
direct
0.0000 0.0000 0.0000
0.0140 0.5070 0.0000
0.3323 0.1661 0.5000
0.4930 0.5070 0.0000
0.4930 0.9860 0.0000
0.8339 0.1661 0.5000
0.8339 0.6677 0.5000
0.3333 0.6667 0.5000
```

Computed properties:
The calculation puts the calculated total energy at -1.8777 eV per atom. Its energy of formation is 0.3575 eV per atom. As for the space group: P-6m2 (187). As for the size of the total moment: 0.00 μB/cell.



# RuCl3

Crystalline RuCl3 at its relaxed geometry (GGA-PBE, the Materials Project).

Cell and atoms, written as POSCAR:
```
RuCl3
1.0
-3.2607 3.5258 -3.6464
4.6121 -4.3639 -8.3438
-3.5429 -5.6017 0.9714
Ru Cl
4 12
direct
0.0000 0.3330 0.0000
0.0000 0.6670 0.0000
0.5000 0.8330 0.0000
0.5000 0.1670 0.0000
0.7569 0.1755 0.7900
0.2431 0.1755 0.2100
0.2431 0.8245 0.2100
0.7569 0.8245 0.7900
0.2569 0.6755 0.7900
0.7431 0.6755 0.2100
0.7431 0.3245 0.2100
0.2569 0.3245 0.7900
0.7158 0.0000 0.2084
0.2842 0.0000 0.7916
0.2158 0.5000 0.2084
0.7842 0.5000 0.7916
```

Computed properties:
Its energy with MP2020 corrections is -4.681 eV per atom. The calculation puts the calculated total energy at -4.2202 eV per atom. Its energy of formation is -0.9757 eV per atom. As for the size of the total moment: 4.00 μB/cell.



# NaMg6Co

Crystalline NaMg6Co at its relaxed geometry (GGA-PBE, the Materials Project).

Cell and atoms, written as POSCAR:
```
NaMg6Co
1.0
-4.0302 -1.2215 2.5496
3.6881 -2.3506 4.7038
0.0829 9.4987 4.6818
Na Mg Co
2 12 2
direct
0.5000 0.5000 0.8369
0.5000 0.0000 0.3369
0.5000 0.2501 0.0853
0.5000 0.7499 0.0853
0.0000 0.2296 0.9099
0.0000 0.7704 0.9099
0.0000 0.5000 0.1727
0.0000 0.5000 0.6626
0.5000 0.7501 0.5853
0.5000 0.2499 0.5853
0.0000 0.7296 0.4099
0.0000 0.2704 0.4099
0.0000 0.0000 0.6727
0.0000 0.0000 0.1626
0.5000 0.5000 0.3374
0.5000 0.0000 0.8374
```

Computed properties:
The calculation puts the calculated total energy at -2.0495 eV per atom. Its energy of formation is 0.2046 eV per atom. The calculation puts the energy above the most stable polymorph in this dataset at 0.0 meV/atom. As for the size of the total moment: 2.29 μB/cell.



# Na19Zr11S30

Crystalline Na19Zr11S30 at its relaxed geometry (GGA-PBE, the Materials Project).

Cell and atoms, written as POSCAR:
```
Na19Zr11S30
1.0
6.6325 0.0000 0.0000
1.0865 8.8092 0.0000
2.2970 2.4264 43.5960
Na Zr S
38 22 60
direct
0.0000 0.0000 0.0000
0.0000 0.0000 0.5000
0.0323 0.3726 0.2182
0.0318 0.3728 0.7182
0.0957 0.0977 0.1504
0.1000 0.1000 0.6500
0.1669 0.8322 0.0815
0.1682 0.8271 0.5818
0.2000 0.1999 0.3000
0.1999 0.2003 0.8000
0.2313 0.5749 0.0173
0.2318 0.5729 0.5182
0.2957 0.2976 0.9504
0.3000 0.3000 0.4500
0.3670 0.0319 0.8816
0.3682 0.0271 0.3818
0.4000 0.4000 0.6000
0.4304 0.7750 0.8174
0.4317 0.7729 0.3182
0.5000 0.5001 0.2500
0.5000 0.4999 0.7500
0.5683 0.2271 0.6818
0.5696 0.2250 0.1826
0.6000 0.6000 0.4000
0.6318 0.9729 0.6182
0.6330 0.9681 0.1184
0.7000 0.7000 0.5500
0.7043 0.7024 0.0496
0.7682 0.4271 0.4818
0.7687 0.4251 0.9827
0.8001 0.7997 0.2000
0.8000 0.8001 0.7000
0.8318 0.1729 0.4182
0.8331 0.1678 0.9185
0.9000 0.9000 0.3500
0.9043 0.9023 0.8496
0.9682 0.6272 0.2818
0.9677 0.6274 0.7818
0.0664 0.7343 0.4336
0.0667 0.7345 0.9336
0.1336 0.4649 0.8663
0.1336 0.4656 0.3664
0.2663 0.9344 0.7337
0.2672 0.9323 0.2331
0.3336 0.6656 0.6664
0.3346 0.6635 0.1659
0.4004 0.3988 0.0997
0.4664 0.1330 0.0332
0.4664 0.1344 0.5336
0.5336 0.8656 0.4664
0.5336 0.8670 0.9668
0.5996 0.6012 0.9003
0.6654 0.3365 0.8341
0.6664 0.3344 0.3336
0.7328 0.0677 0.7669
0.7337 0.0656 0.2663
0.8664 0.5344 0.6336
0.8664 0.5351 0.1337
0.9333 0.2655 0.0664
0.9336 0.2657 0.5664
0.0008 0.2100 0.8588
0.0021 0.7890 0.6417
0.0252 0.5332 0.5778
0.0494 0.5313 0.0780
0.0705 0.9221 0.2859
0.0696 0.9218 0.7864
0.1273 0.2796 0.0137
0.1299 0.2778 0.5139
0.1737 0.6640 0.2216
0.1748 0.6669 0.7222
0.1979 0.4110 0.6583
0.1997 0.9900 0.9413
0.2021 0.9890 0.4417
0.2124 0.3998 0.1552
0.2252 0.7332 0.3778
0.2494 0.7315 0.8781
0.2701 0.1221 0.5861
0.2788 0.1349 0.0890
0.3265 0.4795 0.8139
0.3298 0.4779 0.3139
0.3706 0.8653 0.0225
0.3748 0.8668 0.5222
0.3979 0.6110 0.4583
0.4011 0.1885 0.2416
0.4023 0.1891 0.7418
0.4124 0.6001 0.9553
0.4252 0.9332 0.6779
0.4277 0.9307 0.1772
0.4701 0.3221 0.3861
0.4791 0.3348 0.8891
0.5209 0.6652 0.1109
0.5299 0.6779 0.6139
0.5723 0.0693 0.8228
0.5748 0.0668 0.3221
0.5876 0.3999 0.0447
0.5977 0.8109 0.2582
0.5989 0.8115 0.7584
0.6021 0.3890 0.5417
0.6252 0.1332 0.4778
0.6294 0.1347 0.9775
0.6702 0.5221 0.6861
0.6735 0.5205 0.1861
0.7212 0.8651 0.9110
0.7299 0.8779 0.4139
0.7506 0.2685 0.1219
0.7748 0.2668 0.6222
0.7876 0.6002 0.8448
0.7979 0.0110 0.5583
0.8003 0.0100 0.0587
0.8021 0.5890 0.3417
0.8252 0.3331 0.2778
0.8263 0.3360 0.7784
0.8701 0.7222 0.4861
0.8727 0.7204 0.9863
0.9304 0.0782 0.2136
0.9295 0.0779 0.7141
0.9506 0.4687 0.9220
0.9748 0.4668 0.4222
0.9979 0.2110 0.3583
0.9992 0.7900 0.1412
```

Computed properties:
Its energy with MP2020 corrections is -5.749 eV per atom. The calculation puts the calculated total energy at -5.4970 eV per atom. Its energy of formation is -1.6944 eV per atom. As for the space group: P-1 (2). As for the size of the total moment: 2.10 μB/cell.



Which of these has the highest energy of formation?
Mg7B